# 1
Entry from the Materials Project: a relaxed structure of Al8V5 (PBE). Values from VASP.

Calculated values
* calculated density: 3.990 g/cm3
* electronic total energy: -6.020 eV per atom
* ΔH_f (0 K): -277.3 kJ/mol of formula units

The structure in Quantum ESPRESSO input format:
```
&SYSTEM
  ibrav = 0, nat = 26, ntyp = 2
/
ATOMIC_SPECIES
Al 26.98 Al.upf
V 50.94 V.upf
CELL_PARAMETERS angstrom
6.5425 4.5657 0.0000
-6.5425 4.5657 0.0000
0.0000 4.4555 6.5556
ATOMIC_POSITIONS crystal
Al 0.0058 0.3550 0.2643
Al 0.3476 0.7571 0.9872
Al 0.6475 0.0022 0.3531
Al 0.3550 0.0058 0.2643
Al 0.6557 0.6557 0.5973
Al 0.3834 0.6435 0.3511
Al 0.7571 0.3476 0.9872
Al 0.3562 0.3562 0.9982
Al 0.2585 0.6130 0.7345
Al 0.7381 0.0076 0.6477
Al 0.0022 0.6475 0.3531
Al 0.0076 0.7381 0.6477
Al 0.6435 0.3834 0.3511
Al 0.2482 0.2482 0.4124
Al 0.6130 0.2585 0.7345
Al 0.6459 0.6459 0.9976
V 0.3406 0.3406 0.6670
V 0.3458 0.0042 0.6452
V 0.9932 0.9932 0.8040
V 0.0042 0.3458 0.6452
V 0.7921 0.7921 0.2042
V 0.9910 0.6587 0.0071
V 0.6587 0.9910 0.0071
V 0.2022 0.0041 0.0029
V 0.0029 0.0029 0.3334
V 0.0041 0.2022 0.0029
```


# 2
Entry from the Materials Project: a relaxed structure of Na14Mg2Ti6Si9S3O48 (PBE). Values from VASP.

Calculated values
* total magnetic moment: 0.0 Bohr magnetons per cell
* calculated density: 2.848 g/cm3
* electronic total energy: -6.906 eV per atom
* ΔH_f (0 K): -22330.5 kJ/mol of formula units

The structure in Quantum ESPRESSO input format:
```
&SYSTEM
  ibrav = 0, nat = 246, ntyp = 6
/
ATOMIC_SPECIES
S 32.06 S.upf
O 16.00 O.upf
Na 22.99 Na.upf
Si 28.09 Si.upf
Ti 47.87 Ti.upf
Mg 24.30 Mg.upf
CELL_PARAMETERS angstrom
17.9786 -0.0348 0.0087
-4.5097 7.8130 -0.0188
0.0118 -0.0489 22.1217
ATOMIC_POSITIONS crystal
S 0.0011 0.7123 0.7512
S 0.1875 0.3328 0.0826
S 0.4786 0.3325 0.5838
S 0.5010 0.2888 0.2500
S 0.6645 0.9534 0.9165
S 0.1658 0.3783 0.4166
S 0.3139 0.6665 0.9168
S 0.9788 0.6239 0.0836
S 0.6854 0.0402 0.5839
O 0.4219 0.0277 0.0880
O 0.1752 0.8505 0.5753
O 0.3985 0.9595 0.6929
O 0.6754 0.5001 0.0751
O 0.4866 0.8120 0.0864
O 0.5793 0.4616 0.2536
O 0.8476 0.5246 0.2471
O 0.0901 0.2047 0.4123
O 0.8985 0.8367 0.1923
O 0.3110 0.1174 0.1432
O 0.3229 0.1519 0.4256
O 0.1758 0.4849 0.0775
O 0.2527 0.1580 0.9227
O 0.4884 0.1761 0.5875
O 0.9233 0.0217 0.0863
O 0.2396 0.1699 0.2475
O 0.8989 0.9630 0.6902
O 0.5111 0.8330 0.4099
O 0.0694 0.6401 0.3560
O 0.4151 0.0235 0.8105
O 0.4870 0.8148 0.8084
O 0.1500 0.8256 0.2541
O 0.3521 0.5303 0.5261
O 0.7501 0.8506 0.0729
O 0.1564 0.4592 0.4721
O 0.7477 0.6518 0.5809
O 0.8186 0.1517 0.4227
O 0.5803 0.1800 0.4060
O 0.2495 0.8392 0.0774
O 0.4247 0.4839 0.4229
O 0.5769 0.6548 0.0720
O 0.3987 0.8335 0.1893
O 0.2506 0.6510 0.5741
O 0.9891 0.8005 0.0865
O 0.4191 0.8145 0.3057
O 0.5982 0.0275 0.5885
O 0.7657 0.6939 0.9754
O 0.5881 0.9751 0.9118
O 0.9215 0.8142 0.5902
O 0.9256 0.5452 0.0283
O 0.2483 0.1110 0.6447
O 0.4234 0.8242 0.5876
O 0.5181 0.8351 0.6928
O 0.2582 0.8192 0.7574
O 0.9190 0.3157 0.2459
O 0.5776 0.7058 0.4796
O 0.0831 0.6913 0.4754
O 0.0660 0.6421 0.0785
O 0.0775 0.5000 0.5731
O 0.8516 0.1739 0.0251
O 0.6837 0.5033 0.3586
O 0.2457 0.3624 0.4211
O 0.9085 0.8283 0.9083
O 0.8158 0.1183 0.1427
O 0.4389 0.3555 0.6391
O 0.1471 0.8463 0.9764
O 0.9187 0.0237 0.8062
O 0.6545 0.8543 0.9717
O 0.0814 0.6959 0.7557
O 0.0113 0.8397 0.4119
O 0.3162 0.5156 0.6441
O 0.7522 0.3544 0.4228
O 0.7798 0.8494 0.4778
O 0.0942 0.1646 0.8101
O 0.0804 0.9798 0.9073
O 0.9118 0.9829 0.4084
O 0.0189 0.2031 0.1912
O 0.0804 0.4508 0.9784
O 0.9254 0.5385 0.7475
O 0.8456 0.1687 0.7471
O 0.7525 0.8724 0.3597
O 0.0112 0.1892 0.9100
O 0.9128 0.2993 0.5266
O 0.4186 0.5232 0.7474
O 0.2583 0.6406 0.8622
O 0.8483 0.5300 0.5261
O 0.7378 0.3003 0.0266
O 0.5913 0.7039 0.7576
O 0.3990 0.8214 0.9109
O 0.2500 0.8625 0.3574
O 0.7493 0.3860 0.1436
O 0.2660 0.8380 0.4757
O 0.2377 0.1761 0.5276
O 0.5925 0.1616 0.0888
O 0.4253 0.3040 0.5295
O 0.0917 0.4799 0.2566
O 0.7568 0.6932 0.2548
O 0.6506 0.4762 0.7539
O 0.4235 0.3076 0.2459
O 0.4086 0.9890 0.4087
O 0.9146 0.8028 0.3090
O 0.9868 0.1618 0.5867
O 0.2280 0.3085 0.0272
O 0.9292 0.5043 0.4210
O 0.7593 0.8258 0.7575
O 0.5667 0.6314 0.3592
O 0.7496 0.6377 0.8575
O 0.5815 0.1973 0.6890
O 0.5680 0.4942 0.8559
O 0.3486 0.1625 0.0254
O 0.2371 0.3113 0.7506
O 0.2596 0.6937 0.2561
O 0.0804 0.1981 0.6919
O 0.9260 0.3678 0.9219
O 0.8235 0.4945 0.9251
O 0.0820 0.9668 0.1887
O 0.1792 0.4815 0.3617
O 0.9864 0.1607 0.3068
O 0.3477 0.1691 0.7489
O 0.4881 0.1844 0.3045
O 0.9397 0.5229 0.1377
O 0.3459 0.5227 0.2462
O 0.3180 0.5071 0.9207
O 0.6777 0.8761 0.8614
O 0.6406 0.4395 0.4769
O 0.8139 0.5076 0.6455
O 0.4428 0.5075 0.1434
O 0.7403 0.3094 0.7480
O 0.2745 0.6942 0.9716
O 0.5804 0.9674 0.1912
O 0.4116 0.5244 0.0260
O 0.7252 0.1452 0.5296
O 0.1503 0.4807 0.7592
O 0.2390 0.3602 0.1369
O 0.0941 0.0286 0.3064
O 0.5131 0.2078 0.1947
O 0.5656 0.4889 0.5797
O 0.6728 0.8650 0.5799
O 0.1846 0.8663 0.8587
O 0.0705 0.5055 0.8605
O 0.0160 0.8164 0.6963
O 0.7439 0.1293 0.9209
O 0.5938 0.0226 0.3091
O 0.5821 0.4709 0.9755
O 0.5959 0.1653 0.8055
O 0.7377 0.1176 0.6389
O 0.1003 0.1728 0.0861
O 0.9449 0.3788 0.6452
O 0.6473 0.8161 0.2549
O 0.0923 0.0233 0.5901
O 0.9897 0.7924 0.8058
O 0.7365 0.1627 0.2497
O 0.4274 0.3528 0.9222
O 0.5070 0.1767 0.9119
Na 0.8282 0.3216 0.8335
Na 0.0007 0.0008 0.4956
Na 0.6549 0.9699 0.0865
Na 0.3497 0.0354 0.9152
Na 0.1879 0.3691 0.2529
Na 0.3138 0.0029 0.2467
Na 0.5146 0.3315 0.0849
Na 0.9932 0.9991 0.9957
Na 0.0136 0.3303 0.0798
Na 0.3332 0.7045 0.0843
Na 0.1560 0.9648 0.0836
Na 0.8143 0.6262 0.7436
Na 0.1542 0.3393 0.5848
Na 0.6724 0.6678 0.6657
Na 0.6683 0.0332 0.4164
Na 0.1711 0.6752 0.1694
Na 0.8352 0.3292 0.3307
Na 0.8481 0.6700 0.4195
Na 0.3283 0.3347 0.3336
Na 0.5151 0.6957 0.5762
Na 0.6687 0.6744 0.1678
Na 0.8308 0.6955 0.0857
Na 0.4968 0.6318 0.2488
Na 0.6895 0.0063 0.7502
Na 0.4952 0.9898 0.4945
Na 0.1684 0.6623 0.6629
Na 0.5064 0.0088 0.0003
Na 0.9952 0.3552 0.7442
Na 0.3361 0.3383 0.8279
Na 0.4862 0.3007 0.4180
Na 0.3153 0.6177 0.7438
Na 0.1643 0.2952 0.9162
Na 0.8301 0.9556 0.5765
Na 0.1914 0.0184 0.7460
Na 0.9840 0.6712 0.9184
Na 0.4951 0.3699 0.7498
Na 0.9943 0.6222 0.2522
Na 0.3305 0.9665 0.5837
Na 0.6910 0.3680 0.2494
Na 0.8149 0.0114 0.2476
Na 0.0125 0.6947 0.5818
Na 0.6563 0.3486 0.5795
Si 0.8302 0.6230 0.5863
Si 0.8541 0.9994 0.7499
Si 0.4793 0.6201 0.0837
Si 0.8352 0.0421 0.0833
Si 0.9793 0.3400 0.5837
Si 0.1447 0.0047 0.2499
Si 0.3311 0.0321 0.0868
Si 0.5018 0.7094 0.7536
Si 0.6651 0.3709 0.4173
Si 0.6428 0.9945 0.2519
Si 0.6467 0.2895 0.7472
Si 0.1891 0.0462 0.5854
Si 0.1659 0.9633 0.9177
Si 0.5254 0.3749 0.9159
Si 0.0193 0.3781 0.9201
Si 0.6889 0.3318 0.0854
Si 0.0265 0.6769 0.4157
Si 0.3543 0.7088 0.2501
Si 0.3117 0.9604 0.4167
Si 0.3521 0.9968 0.7522
Si 0.3347 0.6272 0.5839
Si 0.8115 0.6625 0.9165
Si 0.8190 0.9706 0.4200
Si 0.0018 0.2953 0.2531
Si 0.8507 0.7043 0.2516
Si 0.1424 0.2886 0.7520
Si 0.5194 0.6598 0.4198
Ti 0.9968 0.0162 0.8570
Ti 0.6665 0.6505 0.8114
Ti 0.3466 0.3282 0.9800
Ti 0.6717 0.6800 0.3208
Ti 0.8469 0.3540 0.4748
Ti 0.9950 0.0033 0.1554
Ti 0.9959 0.0136 0.6410
Ti 0.1637 0.6670 0.8157
Ti 0.4982 0.9788 0.3576
Ti 0.9966 0.9937 0.3506
Ti 0.6693 0.6538 0.0212
Ti 0.1662 0.6834 0.3112
Ti 0.3263 0.3371 0.4774
Ti 0.4947 0.9842 0.6539
Ti 0.1692 0.6839 0.5202
Ti 0.4976 0.9806 0.1442
Ti 0.8260 0.3156 0.9781
Ti 0.5044 0.0123 0.8477
Mg 0.8274 0.3233 0.1885
Mg 0.3280 0.3320 0.6875
Mg 0.1654 0.6723 0.0144
Mg 0.8338 0.3336 0.6839
Mg 0.3341 0.3327 0.1856
Mg 0.6709 0.6649 0.5114
```


# 3
Entry from the Materials Project: a relaxed structure of CeSi (PBE). Values from VASP.

Calculated values
* calculated density: 6.016 g/cm3
* electronic total energy: -6.336 eV per atom
* ΔH_f (0 K): -119.8 kJ/mol of formula units

The structure in Quantum ESPRESSO input format:
```
&SYSTEM
  ibrav = 0, nat = 8, ntyp = 2
/
ATOMIC_SPECIES
Si 28.09 Si.upf
Ce 140.12 Ce.upf
CELL_PARAMETERS angstrom
3.8942 0.0000 0.0000
0.0000 5.8407 0.0000
0.0000 0.0000 8.1647
ATOMIC_POSITIONS crystal
Si 0.2500 0.6221 0.0343
Si 0.7500 0.3779 0.9657
Si 0.2500 0.8779 0.5343
Si 0.7500 0.1221 0.4657
Ce 0.7500 0.6161 0.3191
Ce 0.2500 0.3839 0.6809
Ce 0.2500 0.1161 0.1809
Ce 0.7500 0.8839 0.8191
```


# 4
Entry from the Materials Project: a relaxed structure of Li5CuP2O8 (PBE). Values from VASP.

Calculated values
* total magnetic moment: 0.0 Bohr magnetons per cell
* calculated density: 2.896 g/cm3
* electronic total energy: -6.183 eV per atom
* ΔH_f (0 K): -3894.6 kJ/mol of formula units

The structure in Quantum ESPRESSO input format:
```
&SYSTEM
  ibrav = 0, nat = 32, ntyp = 4
/
ATOMIC_SPECIES
O 16.00 O.upf
Cu 63.55 Cu.upf
Li 6.94 Li.upf
P 30.97 P.upf
CELL_PARAMETERS angstrom
5.3678 0.0000 0.0000
0.0801 6.1913 0.0000
0.1611 0.0674 9.9445
ATOMIC_POSITIONS crystal
O 0.6900 0.7166 0.3024
O 0.8935 0.9830 0.0490
O 0.1087 0.5162 0.3015
O 0.6818 0.2902 0.7913
O 0.3143 0.7915 0.5504
O 0.8220 0.5050 0.5884
O 0.2816 0.2083 0.0376
O 0.8996 0.9999 0.5504
O 0.1697 0.9895 0.8361
O 0.0945 0.4960 0.7962
O 0.7102 0.3029 0.3125
O 0.6807 0.7038 0.7996
O 0.3114 0.2037 0.5520
O 0.3135 0.7919 0.0471
O 0.8308 0.5061 0.0961
O 0.1807 0.0007 0.3424
Cu 0.3720 0.2495 0.2371
Cu 0.6538 0.2465 0.0097
Li 0.6749 0.7581 0.5016
Li 0.8386 0.9965 0.7506
Li 0.6743 0.2490 0.5082
Li 0.1498 0.5011 0.9973
Li 0.3233 0.7397 0.7480
Li 0.6685 0.7472 0.9995
Li 0.1588 0.4995 0.5004
Li 0.8508 0.0070 0.2528
Li 0.3204 0.2474 0.7513
Li 0.3343 0.7524 0.2498
P 0.8349 0.5117 0.2531
P 0.8214 0.4995 0.7447
P 0.1652 0.9897 0.9919
P 0.1762 0.9997 0.4995
```